The following is a meta-GGA r2SCAN calculation of a relaxed structure of MnRu, from the Materials Project.

As for the crystal system: hexagonal. As for the density: 10.7 g/cm3. The volume comes out at 24.26 Å³ per cell. As for the magnetization: 0.001 μB per formula unit. For the formation enthalpy at 0 K, the calculation gives 22.80 kJ/mol of atoms.

a b c (Å): 2.6252 2.6252 4.0655
angles (deg): 90.00 90.00 120.00
Fractional coordinates of all 2 atoms:
Mn1 0.0000 0.0000 0.0000
Ru1 0.6667 0.3333 0.5000

The following is a meta-GGA r2SCAN calculation of a relaxed structure of LaAgAu2, from the Materials Project.

As for the crystal system: cubic. As for the density: 11.8 g/cm3. The volume comes out at 361.94 Å³ per cell. As for the magnetization: 0.000 μB per formula unit. For the formation enthalpy at 0 K, the calculation gives -61.60 kJ/mol of atoms.

a b c (Å): 7.1265 7.1265 7.1265
angles (deg): 90.00 90.00 90.00
Fractional coordinates of all 16 atoms:
La1 0.0000 0.0000 0.0000
La2 0.0000 0.5000 0.5000
La3 0.5000 0.0000 0.5000
La4 0.5000 0.5000 0.0000
Ag1 0.0000 0.0000 0.5000
Ag2 0.0000 0.5000 0.0000
Ag3 0.5000 0.0000 0.0000
Ag4 0.5000 0.5000 0.5000
Au1 0.2500 0.2500 0.2500
Au2 0.2500 0.2500 0.7500
Au3 0.2500 0.7500 0.2500
Au4 0.2500 0.7500 0.7500
Au5 0.7500 0.2500 0.2500
Au6 0.7500 0.2500 0.7500
Au7 0.7500 0.7500 0.2500
Au8 0.7500 0.7500 0.7500

The following is a meta-GGA r2SCAN calculation of a relaxed structure of Ba3GeS5, from the Materials Project.

As for the crystal system: orthorhombic. As for the density: 4.2 g/cm3. The volume comes out at 1019.51 Å³ per cell. As for the magnetization: 0.000 μB per formula unit. For the formation enthalpy at 0 K, the calculation gives -174.79 kJ/mol of atoms.

a b c (Å): 12.1540 9.6307 8.7099
angles (deg): 90.00 90.00 90.00
Fractional coordinates of all 36 atoms:
Ba1 0.0197 0.2500 0.1132
Ba2 0.1822 0.0185 0.5770
Ba3 0.1822 0.4815 0.5770
Ba4 0.3178 0.5185 0.0770
Ba5 0.3178 0.9815 0.0770
Ba6 0.4803 0.7500 0.6132
Ba7 0.5197 0.2500 0.3868
Ba8 0.6822 0.0185 0.9230
Ba9 0.6822 0.4815 0.9230
Ba10 0.8178 0.5185 0.4230
Ba11 0.8178 0.9815 0.4230
Ba12 0.9803 0.7500 0.8868
Ge1 0.0993 0.7500 0.3056
Ge2 0.4007 0.2500 0.8056
Ge3 0.5993 0.7500 0.1944
Ge4 0.9007 0.2500 0.6944
S1 0.0025 0.7500 0.5180
S2 0.0563 0.5610 0.1804
S3 0.0563 0.9390 0.1804
S4 0.2207 0.2500 0.8496
S5 0.2346 0.7500 0.8185
S6 0.2654 0.2500 0.3185
S7 0.2793 0.7500 0.3496
S8 0.4437 0.0610 0.6804
S9 0.4437 0.4390 0.6804
S10 0.4975 0.2500 0.0180
S11 0.5025 0.7500 0.9820
S12 0.5563 0.5610 0.3196
S13 0.5563 0.9390 0.3196
S14 0.7207 0.2500 0.6504
S15 0.7346 0.7500 0.6815
S16 0.7654 0.2500 0.1815
S17 0.7793 0.7500 0.1504
S18 0.9437 0.0610 0.8196
S19 0.9437 0.4390 0.8196
S20 0.9975 0.2500 0.4820